No. 1
Material: Mg2Ga
Method: DFT, PBE
State: relaxed

Lattice parameters (Å, degrees): 8.091 8.091 5.131 90.00 90.00 158.47
Fractional positions:
Mg 0.103 0.897 0.750
Mg 0.218 0.782 0.250
Mg 0.782 0.218 0.750
Mg 0.897 0.103 0.250
Ga 0.443 0.557 0.750
Ga 0.557 0.443 0.250

Output
VASP energy: -2.1767 eV/atom
Crystal system: orthorhombic

=====

No. 2
Material: MgGa3
Method: DFT, PBE
State: relaxed

Lattice parameters (Å, degrees): 5.071 5.071 5.071 129.68 129.68 73.92
Fractional positions:
Mg 0.000 0.000 0.000
Ga 0.250 0.750 0.500
Ga 0.500 0.500 0.000
Ga 0.750 0.250 0.500

Output
VASP energy: -2.7446 eV/atom
Crystal system: tetragonal

=====

No. 3
Material: MgGa3
Method: DFT, PBE
State: relaxed

Lattice parameters (Å, degrees): 3.212 3.212 8.864 90.00 90.00 120.00
Fractional positions:
Mg 0.000 0.000 0.000
Ga 0.000 0.000 0.500
Ga 0.667 0.333 0.257
Ga 0.667 0.333 0.743

Output
VASP energy: -2.6805 eV/atom
Crystal system: hexagonal
Size of the total moment: 0.0 μB per cell

=====

No. 4
Material: MgGa5
Method: DFT, PBE
State: relaxed

Lattice parameters (Å, degrees): 5.106 5.106 5.101 90.00 90.00 120.00
Fractional positions:
Mg 0.000 0.000 0.000
Ga 0.000 0.663 0.500
Ga 0.333 0.667 0.000
Ga 0.337 0.337 0.500
Ga 0.663 0.000 0.500
Ga 0.667 0.333 0.000

Output
VASP energy: -2.8342 eV/atom
Crystal system: hexagonal

=====

No. 5
Material: MgGa2
Method: DFT, PBE
State: relaxed

Lattice parameters (Å, degrees): 5.278 5.278 6.525 125.29 125.29 58.30
Fractional positions:
Mg 0.102 0.898 0.750
Mg 0.898 0.102 0.250
Ga 0.235 0.432 0.255
Ga 0.432 0.235 0.755
Ga 0.568 0.765 0.245
Ga 0.765 0.568 0.745

Output
VASP energy: -2.6377 eV/atom
Crystal system: monoclinic

=====

No. 6
Material: MgGa2
Method: DFT, PBE
State: relaxed

Lattice parameters (Å, degrees): 4.344 4.344 7.066 90.00 90.00 120.00
Fractional positions:
Mg 0.000 0.000 0.250
Mg 0.000 0.000 0.750
Ga 0.333 0.667 0.051
Ga 0.333 0.667 0.449
Ga 0.667 0.333 0.551
Ga 0.667 0.333 0.949

Output
VASP energy: -2.6768 eV/atom
Crystal system: hexagonal

=====

No. 7
Material: Mg2Ga
Method: DFT, PBE
State: relaxed

Lattice parameters (Å, degrees): 5.283 5.283 6.054 118.96 118.96 61.27
Fractional positions:
Mg 0.083 0.257 0.252
Mg 0.257 0.083 0.752
Mg 0.743 0.917 0.248
Mg 0.917 0.743 0.748
Ga 0.419 0.581 0.250
Ga 0.581 0.419 0.750

Output
VASP energy: -2.1516 eV/atom
Crystal system: monoclinic

=====

No. 8
Material: MgGa2
Method: DFT, PBE
State: relaxed

Lattice parameters (Å, degrees): 5.251 5.251 4.873 90.00 90.00 120.00
Fractional positions:
Mg 0.333 0.667 0.000
Mg 0.667 0.333 0.000
Ga 0.000 0.000 0.000
Ga 0.000 0.667 0.500
Ga 0.333 0.333 0.500
Ga 0.667 0.000 0.500

Output
VASP energy: -2.6306 eV/atom
Crystal system: hexagonal

=====

No. 9
Material: Mg15Ga
Method: DFT, PBE
State: relaxed

Lattice parameters (Å, degrees): 6.361 6.361 10.233 90.00 90.00 120.00
Fractional positions:
Mg 0.000 0.000 0.000
Mg 0.000 0.500 0.000
Mg 0.001 0.501 0.500
Mg 0.332 0.166 0.252
Mg 0.332 0.166 0.748
Mg 0.333 0.667 0.250
Mg 0.333 0.667 0.750
Mg 0.499 0.501 0.500
Mg 0.499 0.999 0.500
Mg 0.500 0.000 0.000
Mg 0.500 0.500 0.000
Mg 0.834 0.166 0.252
Mg 0.834 0.166 0.748
Mg 0.834 0.668 0.252
Mg 0.834 0.668 0.748
Ga 0.000 0.000 0.500

Output
VASP energy: -1.6999 eV/atom
Crystal system: hexagonal

=====

No. 10
Material: MgGa
Method: DFT, PBE
State: relaxed

Lattice parameters (Å, degrees): 5.058 5.058 5.058 35.80 35.80 35.80
Fractional positions:
Mg 0.000 0.000 0.000
Ga 0.500 0.500 0.500

Output
VASP energy: -2.4007 eV/atom
Crystal system: trigonal

=====

No. 11
Material: Mg14MnGa
Method: DFT, PBE
State: relaxed

Lattice parameters (Å, degrees): 6.249 6.249 10.261 90.00 90.00 120.00
Fractional positions:
Mg 0.000 0.000 0.249
Mg 0.000 0.000 0.751
Mg 0.006 0.503 0.249
Mg 0.006 0.503 0.751
Mg 0.333 0.166 0.500
Mg 0.334 0.167 0.000
Mg 0.497 0.503 0.249
Mg 0.497 0.503 0.751
Mg 0.497 0.994 0.249
Mg 0.497 0.994 0.751
Mg 0.833 0.167 0.000
Mg 0.833 0.666 0.000
Mg 0.834 0.166 0.500
Mg 0.834 0.667 0.500
Mn 0.333 0.667 0.000
Ga 0.333 0.667 0.500

Output
VASP energy: -2.1308 eV/atom
Crystal system: hexagonal
Size of the total moment: 4.3 μB per cell

=====

No. 12
Material: Mg14MnGa
Method: DFT, PBE
State: relaxed

Lattice parameters (Å, degrees): 10.210 6.280 6.280 59.91 90.00 90.00
Fractional positions:
Mg 0.000 0.000 0.000
Mg 0.000 0.001 0.501
Mg 0.000 0.500 0.500
Mg 0.000 0.501 0.001
Mg 0.253 0.165 0.165
Mg 0.254 0.665 0.665
Mg 0.260 0.170 0.668
Mg 0.260 0.668 0.170
Mg 0.500 0.500 0.998
Mg 0.500 0.998 0.500
Mg 0.740 0.170 0.668
Mg 0.740 0.668 0.170
Mg 0.746 0.665 0.665
Mg 0.747 0.165 0.165
Mn 0.500 0.503 0.503
Ga 0.500 0.001 0.001

Output
VASP energy: -2.1314 eV/atom
Crystal system: orthorhombic
Size of the total moment: 3.9 μB per cell

=====

No. 13
Material: Mg2MnGa3S8
Method: DFT, PBE
State: relaxed

Lattice parameters (Å, degrees): 7.334 7.334 7.340 120.01 120.01 60.03
Fractional positions:
Mg 0.125 0.125 0.374
Mg 0.875 0.875 0.626
Mn 0.500 0.500 0.500
Ga 0.000 0.500 0.000
Ga 0.500 0.000 0.000
Ga 0.500 0.500 0.000
S 0.261 0.261 0.784
S 0.263 0.263 0.241
S 0.263 0.715 0.240
S 0.285 0.737 0.760
S 0.715 0.263 0.240
S 0.737 0.285 0.760
S 0.737 0.737 0.759
S 0.739 0.739 0.216

Output
VASP energy: -4.6650 eV/atom
Crystal system: monoclinic
Size of the total moment: 4.0 μB per cell

=====

No. 14
Material: Mg6GaMo
Method: DFT, PBE
State: relaxed

Lattice parameters (Å, degrees): 4.836 6.186 10.578 90.00 90.00 90.00
Fractional positions:
Mg 0.000 0.254 0.083
Mg 0.000 0.746 0.083
Mg 0.000 0.500 0.834
Mg 0.500 0.238 0.911
Mg 0.500 0.762 0.911
Mg 0.500 0.500 0.666
Mg 0.000 0.754 0.583
Mg 0.000 0.246 0.583
Mg 0.000 0.000 0.334
Mg 0.500 0.738 0.411
Mg 0.500 0.262 0.411
Mg 0.500 0.000 0.166
Ga 0.500 0.500 0.184
Ga 0.500 0.000 0.684
Mo 0.000 0.500 0.328
Mo 0.000 0.000 0.828

Output
VASP energy: -2.7944 eV/atom
Size of the total moment: 0.0 μB per cell

=====

No. 15
Material: Mg6GaMo
Method: DFT, PBE
State: relaxed

Lattice parameters (Å, degrees): 4.934 5.872 10.844 90.00 90.00 90.00
Fractional positions:
Mg 0.500 0.248 0.421
Mg 0.500 0.752 0.421
Mg 0.000 0.760 0.084
Mg 0.000 0.240 0.084
Mg 0.000 0.000 0.321
Mg 0.000 0.500 0.325
Mg 0.500 0.748 0.921
Mg 0.500 0.252 0.921
Mg 0.000 0.260 0.584
Mg 0.000 0.740 0.584
Mg 0.000 0.500 0.821
Mg 0.000 0.000 0.825
Ga 0.500 0.500 0.169
Ga 0.500 0.000 0.669
Mo 0.500 0.000 0.174
Mo 0.500 0.500 0.674

Output
VASP energy: -2.7858 eV/atom
Size of the total moment: 0.9 μB per cell

=====

No. 16
Material: Mg14GaMo
Method: DFT, PBE
State: relaxed

Lattice parameters (Å, degrees): 6.253 6.253 9.912 90.00 90.00 120.00
Fractional positions:
Mg 0.000 0.000 0.249
Mg 0.000 0.000 0.751
Mg 0.016 0.508 0.246
Mg 0.016 0.508 0.754
Mg 0.333 0.166 0.500
Mg 0.335 0.167 0.000
Mg 0.492 0.508 0.246
Mg 0.492 0.508 0.754
Mg 0.492 0.984 0.246
Mg 0.492 0.984 0.754
Mg 0.833 0.167 0.000
Mg 0.833 0.665 0.000
Mg 0.834 0.166 0.500
Mg 0.834 0.667 0.500
Ga 0.333 0.667 0.500
Mo 0.333 0.667 0.000

Output
VASP energy: -2.1965 eV/atom
Crystal system: hexagonal
Size of the total moment: 0.4 μB per cell

=====

No. 17
Material: Mg14GaMo
Method: DFT, PBE
State: relaxed

Lattice parameters (Å, degrees): 10.145 6.236 6.236 59.34 90.00 90.00
Fractional positions:
Mg 0.000 0.000 0.000
Mg 0.000 0.001 0.500
Mg 0.000 0.500 0.001
Mg 0.000 0.500 0.500
Mg 0.251 0.665 0.665
Mg 0.257 0.162 0.162
Mg 0.262 0.165 0.674
Mg 0.262 0.674 0.165
Mg 0.500 0.000 0.498
Mg 0.500 0.498 0.000
Mg 0.738 0.165 0.674
Mg 0.738 0.674 0.165
Mg 0.743 0.162 0.162
Mg 0.749 0.665 0.665
Ga 0.500 0.502 0.502
Mo 0.500 0.002 0.002

Output
VASP energy: -2.1850 eV/atom
Crystal system: orthorhombic
Size of the total moment: 1.4 μB per cell

=====

No. 18
Material: Mg2Ga3MoS8
Method: DFT, PBE
State: relaxed

Lattice parameters (Å, degrees): 7.415 7.415 7.415 59.30 59.30 59.30
Fractional positions:
Mg 0.126 0.126 0.126
Mg 0.874 0.874 0.874
Ga 0.000 0.500 0.500
Ga 0.500 0.000 0.500
Ga 0.500 0.500 0.000
Mo 0.500 0.500 0.500
S 0.261 0.261 0.261
S 0.262 0.262 0.715
S 0.262 0.715 0.262
S 0.285 0.738 0.738
S 0.715 0.262 0.262
S 0.738 0.285 0.738
S 0.738 0.738 0.285
S 0.739 0.739 0.739

Output
VASP energy: -4.7697 eV/atom
Crystal system: trigonal
Size of the total moment: 3.0 μB per cell

=====

No. 19
Material: MgGaMoS4
Method: DFT, PBE
State: relaxed

Lattice parameters (Å, degrees): 7.397 7.397 7.397 120.34 119.66 90.01
Fractional positions:
Mg 0.376 0.126 0.250
Mg 0.624 0.874 0.750
Ga 0.000 0.000 0.500
Ga 0.000 0.500 0.000
Mo 0.000 0.500 0.500
Mo 0.500 0.500 0.000
S 0.216 0.739 0.478
S 0.238 0.260 0.522
S 0.238 0.716 0.978
S 0.239 0.261 0.978
S 0.761 0.739 0.022
S 0.762 0.284 0.022
S 0.762 0.740 0.478
S 0.784 0.261 0.522

Output
VASP energy: -5.2803 eV/atom
Crystal system: orthorhombic
Size of the total moment: 6.0 μB per cell

=====

No. 20
Material: Mg3Ga2N4
Method: DFT, PBE
State: relaxed

Lattice parameters (Å, degrees): 6.237 6.237 5.360 90.39 90.39 78.20
Fractional positions:
Mg 0.133 0.867 0.750
Mg 0.260 0.515 0.437
Mg 0.485 0.740 0.063
Mg 0.515 0.260 0.937
Mg 0.740 0.485 0.563
Mg 0.867 0.133 0.250
Ga 0.078 0.317 0.878
Ga 0.317 0.078 0.378
Ga 0.683 0.922 0.622
Ga 0.922 0.683 0.122
N 0.057 0.253 0.526
N 0.229 0.556 0.000
N 0.253 0.057 0.026
N 0.444 0.771 0.500
N 0.556 0.229 0.500
N 0.747 0.943 0.974
N 0.771 0.444 0.000
N 0.943 0.747 0.474

Output
VASP energy: -5.3949 eV/atom
Crystal system: monoclinic
Size of the total moment: 0.0 μB per cell

=====

no.,DFT formation energy (eV/atom)
1,-0.100
2,-0.073
3,-0.009
4,-0.044
5,-0.086
6,-0.125
7,-0.075
8,-0.078
9,-0.010
10,-0.086
11,0.031
12,0.031
13,-1.057
14,0.140
15,0.149
16,0.071
17,0.082
18,-1.041
19,-0.993
20,-0.644